Below is an optimized crystal structure of Na6MgTi7Si6S6O48, with properties calculated at the GGA-PBE level.

Values from the calculation:
volume	13.490	A^3/atom
DFT total energy	-1589.574	eV for the cell shown
formation energy	-63.310	kcal/mol of atoms

Cell and atoms, written as CIF:
```
data_Na6MgTi7Si6S6O48
_chemical_formula_sum 'Na18 Mg3 Ti21 Si18 S18 O144'
_cell_length_a 8.757
_cell_length_b 15.209
_cell_length_c 22.488
_cell_angle_alpha 89.92
_cell_angle_beta 89.92
_cell_angle_gamma 89.96
_symmetry_space_group_name_H-M 'P 1'
_symmetry_Int_Tables_number 1
loop_
_symmetry_equiv_pos_as_xyz
'x,y,z'
loop_
_atom_site_label
_atom_site_type_symbol
_atom_site_fract_x
_atom_site_fract_y
_atom_site_fract_z
Na1 Na 0.000 0.000 0.000
Na2 Na 0.001 0.330 0.167
Na3 Na 0.002 0.998 0.502
Na4 Na 0.003 0.668 0.336
Na5 Na 0.008 0.671 0.832
Na6 Na 0.147 0.504 0.252
Na7 Na 0.194 0.815 0.253
Na8 Na 0.325 0.312 0.753
Na9 Na 0.371 0.006 0.751
Na10 Na 0.499 0.832 0.667
Na11 Na 0.502 0.167 0.332
Na12 Na 0.504 0.502 0.498
Na13 Na 0.506 0.497 0.001
Na14 Na 0.507 0.835 0.171
Na15 Na 0.508 0.168 0.831
Na16 Na 0.826 0.816 0.751
Na17 Na 0.869 0.503 0.753
Na18 Na 0.998 0.327 0.669
Mg1 Mg 0.004 0.667 0.187
Mg2 Mg 0.007 0.671 0.687
Mg3 Mg 0.507 0.168 0.690
Ti1 Ti 0.000 0.996 0.850
Ti2 Ti 0.003 0.338 0.317
Ti3 Ti 0.003 0.670 0.473
Ti4 Ti 0.006 0.329 0.818
Ti5 Ti 0.007 0.001 0.148
Ti6 Ti 0.008 0.001 0.656
Ti7 Ti 0.014 0.998 0.359
Ti8 Ti 0.489 0.500 0.359
Ti9 Ti 0.493 0.496 0.152
Ti10 Ti 0.499 0.833 0.318
Ti11 Ti 0.508 0.834 0.514
Ti12 Ti 0.510 0.167 0.189
Ti13 Ti 0.512 0.176 0.985
Ti14 Ti 0.514 0.831 0.810
Ti15 Ti 0.516 0.504 0.652
Ti16 Ti 0.519 0.165 0.478
Ti17 Ti 0.519 0.843 0.022
Ti18 Ti 0.520 0.492 0.858
Ti19 Ti 0.995 0.668 0.976
Ti20 Ti 0.999 0.340 0.518
Ti21 Ti 0.999 0.341 0.020
Si1 Si 0.144 0.146 0.754
Si2 Si 0.147 0.479 0.419
Si3 Si 0.152 0.852 0.752
Si4 Si 0.219 0.835 0.419
Si5 Si 0.295 0.333 0.919
Si6 Si 0.297 0.003 0.252
Si7 Si 0.361 0.352 0.254
Si8 Si 0.364 0.647 0.252
Si9 Si 0.645 0.689 0.417
Si10 Si 0.647 0.643 0.754
Si11 Si 0.651 0.026 0.085
Si12 Si 0.651 0.977 0.416
Si13 Si 0.653 0.315 0.087
Si14 Si 0.654 0.354 0.752
Si15 Si 0.714 0.336 0.417
Si16 Si 0.716 0.005 0.752
Si17 Si 0.796 0.839 0.917
Si18 Si 0.863 0.478 0.917
S1 S 0.149 0.191 0.419
S2 S 0.149 0.523 0.085
S3 S 0.150 0.812 0.085
S4 S 0.216 0.168 0.085
S5 S 0.219 0.503 0.752
S6 S 0.295 0.667 0.585
S7 S 0.358 0.313 0.585
S8 S 0.359 0.022 0.585
S9 S 0.361 0.691 0.920
S10 S 0.361 0.979 0.919
S11 S 0.714 0.667 0.085
S12 S 0.790 0.501 0.252
S13 S 0.796 0.168 0.585
S14 S 0.858 0.813 0.585
S15 S 0.858 0.858 0.251
S16 S 0.860 0.523 0.585
S17 S 0.861 0.189 0.920
S18 S 0.862 0.144 0.252
O1 O 0.064 0.100 0.694
O2 O 0.069 0.245 0.759
O3 O 0.069 0.575 0.428
O4 O 0.069 0.760 0.747
O5 O 0.069 0.901 0.809
O6 O 0.070 0.433 0.360
O7 O 0.077 0.103 0.413
O8 O 0.078 0.902 0.090
O9 O 0.079 0.231 0.473
O10 O 0.080 0.770 0.032
O11 O 0.081 0.434 0.079
O12 O 0.083 0.560 0.140
O13 O 0.107 0.921 0.410
O14 O 0.108 0.750 0.428
O15 O 0.114 0.415 0.476
O16 O 0.116 0.082 0.811
O17 O 0.116 0.087 0.092
O18 O 0.116 0.245 0.079
O19 O 0.116 0.578 0.744
O20 O 0.118 0.579 0.032
O21 O 0.122 0.420 0.756
O22 O 0.125 0.245 0.365
O23 O 0.125 0.761 0.140
O24 O 0.128 0.920 0.695
O25 O 0.172 0.347 0.260
O26 O 0.175 0.987 0.195
O27 O 0.177 0.014 0.308
O28 O 0.178 0.656 0.246
O29 O 0.179 0.346 0.976
O30 O 0.187 0.318 0.859
O31 O 0.188 0.322 0.578
O32 O 0.189 0.014 0.588
O33 O 0.190 0.682 0.928
O34 O 0.193 0.987 0.915
O35 O 0.198 0.654 0.532
O36 O 0.202 0.680 0.639
O37 O 0.309 0.151 0.032
O38 O 0.309 0.182 0.139
O39 O 0.310 0.516 0.805
O40 O 0.314 0.816 0.358
O41 O 0.315 0.485 0.698
O42 O 0.316 0.181 0.426
O43 O 0.317 0.822 0.076
O44 O 0.318 0.515 0.089
O45 O 0.323 0.852 0.477
O46 O 0.324 0.156 0.745
O47 O 0.329 0.487 0.414
O48 O 0.335 0.852 0.762
O49 O 0.381 0.745 0.866
O50 O 0.382 0.261 0.639
O51 O 0.384 0.419 0.196
O52 O 0.390 0.922 0.972
O53 O 0.391 0.079 0.532
O54 O 0.392 0.580 0.308
O55 O 0.392 0.586 0.591
O56 O 0.394 0.423 0.911
O57 O 0.394 0.913 0.257
O58 O 0.395 0.746 0.579
O59 O 0.399 0.090 0.244
O60 O 0.400 0.245 0.927
O61 O 0.423 0.061 0.639
O62 O 0.426 0.403 0.591
O63 O 0.426 0.602 0.913
O64 O 0.427 0.271 0.532
O65 O 0.427 0.733 0.973
O66 O 0.427 0.938 0.865
O67 O 0.429 0.933 0.579
O68 O 0.432 0.066 0.926
O69 O 0.437 0.257 0.243
O70 O 0.437 0.402 0.310
O71 O 0.439 0.597 0.192
O72 O 0.440 0.744 0.257
O73 O 0.567 0.599 0.693
O74 O 0.568 0.264 0.745
O75 O 0.568 0.934 0.359
O76 O 0.570 0.068 0.143
O77 O 0.570 0.736 0.476
O78 O 0.571 0.075 0.430
O79 O 0.571 0.403 0.809
O80 O 0.571 0.741 0.758
O81 O 0.572 0.927 0.076
O82 O 0.573 0.268 0.028
O83 O 0.575 0.592 0.410
O84 O 0.576 0.413 0.094
O85 O 0.600 0.084 0.746
O86 O 0.608 0.247 0.430
O87 O 0.611 0.580 0.810
O88 O 0.612 0.422 0.411
O89 O 0.614 0.747 0.076
O90 O 0.614 0.913 0.761
O91 O 0.615 0.085 0.026
O92 O 0.615 0.249 0.143
O93 O 0.619 0.423 0.695
O94 O 0.620 0.589 0.089
O95 O 0.622 0.754 0.360
O96 O 0.623 0.918 0.476
O97 O 0.679 0.491 0.913
O98 O 0.683 0.848 0.976
O99 O 0.688 0.818 0.860
O100 O 0.689 0.512 0.590
O101 O 0.689 0.823 0.579
O102 O 0.692 0.181 0.924
O103 O 0.693 0.850 0.256
O104 O 0.695 0.154 0.246
O105 O 0.697 0.155 0.531
O106 O 0.699 0.485 0.198
O107 O 0.701 0.514 0.306
O108 O 0.703 0.183 0.637
O109 O 0.808 0.683 0.138
O110 O 0.815 0.656 0.031
O111 O 0.824 0.015 0.810
O112 O 0.826 0.979 0.695
O113 O 0.828 0.315 0.360
O114 O 0.828 0.345 0.476
O115 O 0.829 0.652 0.746
O116 O 0.830 0.681 0.430
O117 O 0.833 0.994 0.407
O118 O 0.835 0.011 0.096
O119 O 0.838 0.321 0.077
O120 O 0.838 0.354 0.758
O121 O 0.883 0.762 0.639
O122 O 0.885 0.244 0.865
O123 O 0.888 0.091 0.306
O124 O 0.889 0.417 0.976
O125 O 0.889 0.576 0.533
O126 O 0.889 0.913 0.197
O127 O 0.892 0.087 0.588
O128 O 0.893 0.420 0.257
O129 O 0.894 0.577 0.244
O130 O 0.897 0.246 0.576
O131 O 0.902 0.749 0.929
O132 O 0.904 0.924 0.914
O133 O 0.925 0.559 0.640
O134 O 0.926 0.769 0.532
O135 O 0.927 0.231 0.973
O136 O 0.928 0.431 0.579
O137 O 0.929 0.103 0.198
O138 O 0.930 0.902 0.589
O139 O 0.931 0.898 0.305
O140 O 0.932 0.102 0.914
O141 O 0.932 0.771 0.244
O142 O 0.934 0.233 0.257
O143 O 0.938 0.435 0.858
O144 O 0.941 0.575 0.929
```